First-principles (GGA-PBE) data for a relaxed MgH2 crystal, as listed in the Materials Project.

Cell: 4.511 4.923 5.428 Å, 90.00 90.00 90.00°
Element x y z (fractional)
Mg (0.500, 0.750, 0.830)
Mg (0.000, 0.250, 0.670)
Mg (0.500, 0.250, 0.170)
Mg (0.000, 0.750, 0.330)
H (0.727, 0.420, 0.891)
H (0.227, 0.580, 0.609)
H (0.773, 0.920, 0.609)
H (0.273, 0.080, 0.891)
H (0.727, 0.920, 0.109)
H (0.227, 0.080, 0.391)
H (0.773, 0.420, 0.391)
H (0.273, 0.580, 0.109)

Results
formation energy	-0.2937	eV per atom
space-group type	Pbcn (60)
crystal system	orthorhombic
final energy	-2.970	eV per atom

First-principles (GGA-PBE) data for a relaxed Ba2Nd4MgCu2O10 crystal, as listed in the Materials Project.

Cell: 5.995 6.482 7.656 Å, 86.03 90.00 90.00°
Element x y z (fractional)
Ba (0.000, 0.429, 0.424)
Ba (0.000, 0.011, 0.041)
Nd (0.500, 0.811, 0.352)
Nd (0.500, 0.705, 0.875)
Nd (0.500, 0.318, 0.181)
Nd (0.500, 0.207, 0.696)
Mg (0.000, 0.657, 0.742)
Cu (0.000, 0.506, 0.037)
Cu (0.000, 0.969, 0.497)
O (0.257, 0.638, 0.157)
O (0.237, 0.428, 0.819)
O (0.244, 0.108, 0.329)
O (0.243, 0.870, 0.681)
O (0.743, 0.638, 0.157)
O (0.757, 0.870, 0.681)
O (0.756, 0.108, 0.329)
O (0.763, 0.428, 0.819)
O (0.500, 0.039, 0.992)
O (0.500, 0.470, 0.470)

Results
formation energy	-2.7312	eV per atom
space-group type	Pm (6)
crystal system	monoclinic
final energy	-6.695	eV per atom

First-principles (GGA-PBE) data for a relaxed CsRb2GaI6 crystal, as listed in the Materials Project.

Cell: 9.061 9.061 9.061 Å, 60.00 60.00 60.00°
Element x y z (fractional)
Cs (0.500, 0.500, 0.500)
Rb (0.750, 0.750, 0.750)
Rb (0.250, 0.250, 0.250)
Ga (0.000, 0.000, 0.000)
I (0.780, 0.220, 0.220)
I (0.220, 0.220, 0.780)
I (0.220, 0.780, 0.780)
I (0.220, 0.780, 0.220)
I (0.780, 0.220, 0.780)
I (0.780, 0.780, 0.220)

Results
formation energy	-1.2004	eV per atom
space-group type	Fm-3m (225)
crystal system	cubic
final energy	-2.476	eV per atom

First-principles (GGA-PBE) data for a relaxed LiCuPO4 crystal, as listed in the Materials Project.

Cell: 7.759 8.484 17.367 Å, 62.15 90.00 90.00°
Element x y z (fractional)
Li (0.029, 0.722, 0.059)
Li (0.954, 0.362, 0.408)
Li (0.149, 0.015, 0.754)
Li (0.649, 0.985, 0.746)
Li (0.454, 0.638, 0.092)
Li (0.529, 0.278, 0.441)
Li (0.471, 0.722, 0.559)
Li (0.546, 0.362, 0.908)
Li (0.351, 0.015, 0.254)
Li (0.851, 0.985, 0.246)
Li (0.046, 0.638, 0.592)
Li (0.971, 0.278, 0.941)
Cu (0.738, 0.373, 0.590)
Cu (0.766, 0.663, 0.226)
Cu (0.730, 0.957, 0.924)
Cu (0.230, 0.043, 0.576)
Cu (0.266, 0.337, 0.274)
Cu (0.238, 0.627, 0.910)
Cu (0.762, 0.373, 0.090)
Cu (0.734, 0.663, 0.726)
Cu (0.770, 0.957, 0.424)
Cu (0.270, 0.043, 0.076)
Cu (0.234, 0.337, 0.774)
Cu (0.262, 0.627, 0.410)
P (0.340, 0.362, 0.594)
P (0.179, 0.698, 0.223)
P (0.328, 0.968, 0.925)
P (0.828, 0.032, 0.575)
P (0.679, 0.302, 0.277)
P (0.840, 0.638, 0.906)
P (0.160, 0.362, 0.094)
P (0.321, 0.698, 0.723)
P (0.172, 0.968, 0.425)
P (0.672, 0.032, 0.075)
P (0.821, 0.302, 0.777)
P (0.660, 0.638, 0.406)
O (0.493, 0.554, 0.392)
O (0.143, 0.586, 0.323)
O (0.207, 0.924, 0.004)
O (0.640, 0.829, 0.128)
O (0.780, 0.478, 0.465)
O (0.006, 0.746, 0.172)
O (0.250, 0.247, 0.682)
O (0.721, 0.130, 0.796)
O (0.499, 0.867, 0.964)
O (0.382, 0.246, 0.549)
O (0.791, 0.415, 0.308)
O (0.750, 0.104, 0.634)
O (0.291, 0.585, 0.192)
O (0.250, 0.896, 0.866)
O (0.882, 0.754, 0.951)
O (0.999, 0.133, 0.536)
O (0.221, 0.870, 0.704)
O (0.506, 0.254, 0.328)
O (0.750, 0.753, 0.818)
O (0.280, 0.522, 0.035)
O (0.140, 0.171, 0.372)
O (0.707, 0.076, 0.496)
O (0.643, 0.414, 0.177)
O (0.993, 0.446, 0.108)
O (0.007, 0.554, 0.892)
O (0.357, 0.586, 0.823)
O (0.293, 0.924, 0.504)
O (0.860, 0.829, 0.628)
O (0.720, 0.478, 0.965)
O (0.250, 0.247, 0.182)
O (0.494, 0.746, 0.672)
O (0.779, 0.130, 0.296)
O (0.001, 0.867, 0.464)
O (0.118, 0.246, 0.049)
O (0.750, 0.104, 0.134)
O (0.709, 0.415, 0.808)
O (0.250, 0.896, 0.366)
O (0.209, 0.585, 0.692)
O (0.618, 0.754, 0.451)
O (0.501, 0.133, 0.036)
O (0.279, 0.870, 0.204)
O (0.750, 0.753, 0.318)
O (0.994, 0.254, 0.828)
O (0.220, 0.522, 0.535)
O (0.360, 0.171, 0.872)
O (0.793, 0.076, 0.996)
O (0.857, 0.414, 0.677)
O (0.507, 0.446, 0.608)

Results
formation energy	-2.1501	eV per atom
space-group type	P2_1/c (14)
crystal system	monoclinic
final energy	-6.217	eV per atom
distance to the lowest polymorph of the same formula	0.047	eV/atom

First-principles (GGA-PBE) data for a relaxed TePb2O5 crystal, as listed in the Materials Project.

Cell: 7.265 7.265 7.659 Å, 59.15 59.15 47.40°
Element x y z (fractional)
Te (0.955, 0.947, 0.313)
Te (0.947, 0.955, 0.813)
Pb (0.604, 0.610, 0.318)
Pb (0.307, 0.276, 0.319)
Pb (0.610, 0.604, 0.818)
Pb (0.276, 0.307, 0.819)
O (0.302, 0.715, 0.682)
O (0.232, 0.001, 0.185)
O (0.594, 0.198, 0.941)
O (0.715, 0.302, 0.182)
O (0.001, 0.232, 0.685)
O (0.198, 0.594, 0.441)
O (0.893, 0.678, 0.946)
O (0.678, 0.893, 0.446)
O (0.080, 0.823, 0.062)
O (0.823, 0.080, 0.562)

Results
formation energy	-1.5669	eV per atom
space-group type	Cc (9)
crystal system	monoclinic
final energy	-5.551	eV per atom

First-principles (GGA-PBE) data for a relaxed Te6MoW3Se2 crystal, as listed in the Materials Project.

Cell: 3.498 3.498 39.678 Å, 90.00 90.00 120.00°
Element x y z (fractional)
Te (0.333, 0.667, 0.328)
Te (0.333, 0.667, 0.704)
Te (0.667, 0.333, 0.423)
Te (0.667, 0.333, 0.516)
Te (0.333, 0.667, 0.236)
Te (0.333, 0.667, 0.611)
Mo (0.667, 0.333, 0.282)
W (0.333, 0.667, 0.094)
W (0.333, 0.667, 0.470)
W (0.667, 0.333, 0.658)
Se (0.667, 0.333, 0.053)
Se (0.667, 0.333, 0.135)

Results
formation energy	-0.3043	eV per atom
space-group type	P3m1 (156)
crystal system	trigonal
final energy	-6.523	eV per atom
distance to the lowest polymorph of the same formula	0.001	eV/atom

First-principles (GGA-PBE) data for a relaxed BaIn2Te4 crystal, as listed in the Materials Project.

Cell: 7.143 7.143 7.143 Å, 104.68 104.68 119.54°
Element x y z (fractional)
Ba (0.000, 0.000, 0.000)
In (0.500, 0.000, 0.500)
In (0.000, 0.500, 0.500)
Te (0.929, 0.071, 0.500)
Te (0.071, 0.571, 0.142)
Te (0.429, 0.929, 0.858)
Te (0.571, 0.429, 0.500)

Results
formation energy	-1.0054	eV per atom
space-group type	I422 (97)
crystal system	tetragonal
final energy	-3.621	eV per atom
piezoelectric modulus e_max	0.13	C/m2

First-principles (GGA-PBE) data for a relaxed MgCd crystal, as listed in the Materials Project.

Cell: 4.953 3.382 15.918 Å, 90.00 90.00 90.00°
Element x y z (fractional)
Mg (0.000, 0.000, 0.667)
Mg (0.500, 0.000, 0.552)
Mg (0.500, 0.500, 0.724)
Mg (0.000, 0.500, 0.167)
Mg (0.500, 0.500, 0.052)
Mg (0.500, 0.000, 0.224)
Cd (0.000, 0.500, 0.505)
Cd (0.000, 0.500, 0.830)
Cd (0.500, 0.000, 0.890)
Cd (0.000, 0.000, 0.005)
Cd (0.000, 0.000, 0.330)
Cd (0.500, 0.500, 0.390)

Results
formation energy	-0.0464	eV per atom
final energy	-1.308	eV per atom

First-principles (GGA-PBE) data for a relaxed In crystal, as listed in the Materials Project.

Cell: 3.423 3.423 5.576 Å, 90.00 90.00 120.00°
Element x y z (fractional)
In (0.333, 0.667, 0.250)
In (0.667, 0.333, 0.750)

Results
formation energy	0.0477	eV per atom
space-group type	P6_3/mmc (194)
crystal system	hexagonal
final energy	-2.704	eV per atom
distance to the lowest polymorph of the same formula	0.048	eV/atom

First-principles (GGA-PBE) data for a relaxed MnInFe crystal, as listed in the Materials Project.

Cell: 2.795 4.320 4.320 Å, 60.00 90.00 90.00°
Element x y z (fractional)
Mn (0.500, 0.333, 0.333)
In (0.000, 0.000, 0.000)
Fe (0.500, 0.667, 0.667)

Results
formation energy	0.2976	eV per atom
space-group type	P-6m2 (187)
crystal system	hexagonal
final energy	-6.497	eV per atom

First-principles (GGA-PBE) data for a relaxed CoCl2 crystal, as listed in the Materials Project.

Cell: 3.528 3.528 6.205 Å, 90.00 90.00 120.00°
Element x y z (fractional)
Co (0.000, 0.000, 0.000)
Cl (0.667, 0.333, 0.785)
Cl (0.333, 0.667, 0.215)

Results
formation energy	-0.9818	eV per atom
space-group type	P-3m1 (164)
crystal system	trigonal
final energy	-4.174	eV per atom

First-principles (GGA-PBE) data for a relaxed ZrBeB crystal, as listed in the Materials Project.

Cell: 3.418 3.418 3.487 Å, 90.00 90.00 120.00°
Element x y z (fractional)
Zr (0.000, 0.000, 0.000)
Be (0.333, 0.667, 0.500)
B (0.667, 0.333, 0.500)

Results
formation energy	-0.5831	eV per atom
space-group type	P-6m2 (187)
crystal system	hexagonal
final energy	-6.905	eV per atom